No. 1
DFT (PBE+U) results for crystalline Mn3P4O14 at its relaxed geometry.

Lattice parameters (Å, degrees): 5.335 6.496 16.284 81.33 80.30 72.57
Fractional positions:
1 O 0.250 0.327 0.090
2 Mn 0.050 0.608 0.827
3 Mn 0.745 0.025 0.679
4 P 0.282 0.781 0.542
5 P 0.718 0.219 0.458
6 O 0.138 0.611 0.541
7 O 0.097 0.979 0.584
8 Mn 0.950 0.392 0.173
9 O 0.794 0.340 0.665
10 O 0.761 0.699 0.713
11 O 0.354 0.546 0.739
12 O 0.298 0.615 0.908
13 P 0.606 0.565 0.685
14 O 0.750 0.673 0.910
15 O 0.648 0.141 0.994
16 Mn 0.828 0.713 0.414
17 O 0.646 0.454 0.261
18 O 0.669 0.864 0.296
19 O 0.578 0.157 0.544
20 O 0.352 0.859 0.006
21 O 0.862 0.389 0.459
22 O 0.422 0.843 0.456
23 O 0.239 0.301 0.287
24 O 0.331 0.136 0.704
25 P 0.833 0.900 0.209
26 O 0.605 0.029 0.153
27 P 0.394 0.435 0.315
28 P 0.553 0.229 0.078
29 P 0.447 0.771 0.922
30 O 0.470 0.317 0.406
31 P 0.167 0.100 0.791
32 O 0.010 0.311 0.827
33 Mn 0.172 0.287 0.586
34 O 0.991 0.953 0.785
35 O 0.903 0.021 0.416
36 O 0.395 0.971 0.847
37 Mn 0.255 0.975 0.321
38 O 0.009 0.047 0.215
39 O 0.530 0.683 0.594
40 O 0.702 0.385 0.092
41 O 0.206 0.660 0.335
42 O 0.990 0.689 0.173

E_tot: -310.47 eV/cell
Spin magnetization: 13.00 μB/f.u.
SG: P-1


No. 2
DFT (PBE+U) results for crystalline MnPO4 at its relaxed geometry.

Lattice parameters (Å, degrees): 5.965 5.295 10.661 60.68 90.00 90.00
Fractional positions:
1 O 0.665 0.232 0.272
2 P 0.337 0.622 0.633
3 Mn 0.880 0.192 0.141
4 O 0.342 0.731 0.012
5 Mn 0.120 0.808 0.859
6 O 0.147 0.286 0.227
7 O 0.158 0.731 0.512
8 O 0.353 0.286 0.727
9 O 0.647 0.714 0.273
10 Mn 0.380 0.808 0.359
11 O 0.165 0.768 0.228
12 O 0.658 0.269 0.988
13 O 0.835 0.232 0.772
14 P 0.163 0.622 0.133
15 O 0.057 0.290 0.962
16 O 0.443 0.290 0.462
17 Mn 0.620 0.192 0.641
18 O 0.335 0.768 0.728
19 P 0.663 0.378 0.367
20 O 0.853 0.714 0.773
21 O 0.943 0.710 0.038
22 O 0.557 0.710 0.538
23 P 0.837 0.378 0.867
24 O 0.842 0.269 0.488

E_tot: -175.28 eV/cell
Spin magnetization: 4.00 μB/f.u.
SG: P2_1/c


No. 3
DFT (PBE+U) results for crystalline MnPO4 at its relaxed geometry.

Lattice parameters (Å, degrees): 7.184 8.395 8.455 119.70 93.75 89.80
Fractional positions:
1 Mn 0.549 0.663 0.339
2 Mn 0.451 0.337 0.661
3 P 0.742 0.038 0.360
4 P 0.258 0.962 0.640
5 O 0.568 0.145 0.438
6 P 0.244 0.679 0.041
7 Mn 0.050 0.328 0.671
8 O 0.426 0.705 0.159
9 O 0.579 0.565 0.721
10 O 0.932 0.546 0.704
11 O 0.421 0.435 0.279
12 O 0.740 0.601 0.477
13 Mn 0.500 0.000 0.000
14 O 0.929 0.278 0.847
15 O 0.432 0.855 0.562
16 O 0.071 0.722 0.153
17 Mn 0.950 0.672 0.329
18 Mn 0.000 0.000 0.000
19 O 0.225 0.158 0.188
20 P 0.756 0.321 0.959
21 O 0.753 0.867 0.393
22 O 0.068 0.454 0.296
23 O 0.237 0.477 0.876
24 O 0.574 0.295 0.841
25 O 0.260 0.399 0.523
26 O 0.268 0.034 0.847
27 O 0.751 0.185 0.031
28 O 0.922 0.158 0.445
29 P 0.755 0.636 0.678
30 O 0.775 0.842 0.812
31 O 0.732 0.966 0.153
32 O 0.247 0.133 0.607
33 O 0.078 0.842 0.555
34 P 0.245 0.364 0.322
35 O 0.249 0.815 0.969
36 O 0.763 0.523 0.124

E_tot: -265.12 eV/cell
Spin magnetization: 4.00 μB/f.u.
SG: P-1


No. 4
DFT (PBE+U) results for crystalline Mn4P4O13 at its relaxed geometry.

Lattice parameters (Å, degrees): 6.722 7.477 20.723 92.99 97.70 99.45
Fractional positions:
1 Mn 0.232 0.750 0.702
2 P 0.712 0.711 0.667
3 P 0.395 0.188 0.067
4 Mn 0.858 0.127 0.452
5 Mn 0.378 0.639 0.454
6 P 0.089 0.337 0.915
7 P 0.288 0.289 0.333
8 O 0.566 0.942 0.877
9 O 0.614 0.628 0.898
10 O 0.281 0.481 0.364
11 O 0.345 0.894 0.386
12 P 0.521 0.065 0.819
13 O 0.189 0.101 0.027
14 O 0.563 0.720 0.281
15 Mn 0.120 0.876 0.956
16 Mn 0.142 0.873 0.548
17 O 0.162 0.077 0.459
18 O 0.831 0.462 0.790
19 O 0.685 0.033 0.218
20 P 0.662 0.914 0.583
21 O 0.323 0.440 0.529
22 Mn 0.768 0.250 0.298
23 Mn 0.483 0.502 0.202
24 P 0.144 0.439 0.568
25 O 0.514 0.251 0.853
26 Mn 0.998 0.986 0.796
27 O 0.699 0.063 0.780
28 O 0.386 0.372 0.102
29 O 0.169 0.538 0.210
30 O 0.544 0.165 0.460
31 P 0.911 0.663 0.085
32 O 0.062 0.656 0.469
33 O 0.905 0.855 0.116
34 O 0.315 0.967 0.782
35 Mn 0.517 0.498 0.798
36 O 0.655 0.106 0.614
37 O 0.456 0.835 0.540
38 O 0.763 0.000 0.353
39 O 0.295 0.422 0.956
40 Mn 0.880 0.124 0.044
41 O 0.138 0.624 0.603
42 P 0.962 0.463 0.167
43 O 0.434 0.058 0.123
44 O 0.187 0.312 0.625
45 P 0.856 0.561 0.432
46 Mn 0.387 0.617 0.049
47 O 0.237 0.000 0.647
48 P 0.038 0.537 0.833
49 Mn 0.622 0.361 0.546
50 O 0.572 0.190 0.027
51 O 0.463 0.299 0.291
52 Mn 0.613 0.383 0.951
53 O 0.938 0.344 0.531
54 O 0.428 0.810 0.973
55 O 0.082 0.210 0.290
56 O 0.918 0.790 0.710
57 O 0.213 0.550 0.790
58 P 0.231 0.186 0.681
59 P 0.605 0.812 0.933
60 O 0.787 0.450 0.210
61 O 0.862 0.376 0.397
62 O 0.719 0.519 0.636
63 O 0.486 0.749 0.147
64 Mn 0.753 0.263 0.705
65 Mn 0.247 0.737 0.295
66 O 0.087 0.671 0.043
67 O 0.031 0.728 0.865
68 P 0.338 0.086 0.417
69 Mn 0.002 0.014 0.204
70 O 0.838 0.923 0.541
71 P 0.769 0.814 0.319
72 O 0.537 0.701 0.709
73 O 0.813 0.688 0.375
74 O 0.913 0.329 0.957
75 O 0.052 0.186 0.721
76 O 0.095 0.145 0.884
77 P 0.479 0.935 0.181
78 O 0.301 0.937 0.220
79 O 0.811 0.899 0.973
80 O 0.705 0.578 0.044
81 O 0.948 0.814 0.279
82 O 0.437 0.280 0.719
83 O 0.677 0.560 0.471
84 O 0.969 0.272 0.135

E_tot: -637.12 eV/cell
Spin magnetization: 20.00 μB/f.u.
SG: P-1


No. 5
DFT (PBE+U) results for crystalline Mn3P2O8 at its relaxed geometry.

Lattice parameters (Å, degrees): 11.621 6.347 9.001 80.72 90.00 90.00
Fractional positions:
1 Mn 0.193 0.122 0.636
2 P 0.137 0.388 0.908
3 Mn 0.577 0.167 0.726
4 O 0.297 0.897 0.058
5 O 0.586 0.487 0.725
6 O 0.277 0.872 0.777
7 O 0.534 0.260 0.468
8 O 0.777 0.628 0.223
9 O 0.066 0.176 0.928
10 O 0.034 0.240 0.532
11 O 0.678 0.671 0.481
12 O 0.203 0.397 0.058
13 O 0.626 0.867 0.698
14 P 0.363 0.888 0.908
15 P 0.863 0.612 0.092
16 O 0.434 0.676 0.928
17 O 0.936 0.407 0.130
18 Mn 0.423 0.833 0.274
19 Mn 0.883 0.137 0.933
20 O 0.086 0.013 0.275
21 O 0.822 0.171 0.481
22 Mn 0.617 0.637 0.933
23 Mn 0.923 0.667 0.726
24 Mn 0.693 0.378 0.364
25 O 0.436 0.093 0.870
26 O 0.126 0.633 0.302
27 O 0.564 0.907 0.130
28 O 0.703 0.103 0.942
29 O 0.566 0.324 0.072
30 O 0.414 0.513 0.275
31 O 0.874 0.367 0.698
32 Mn 0.117 0.863 0.067
33 P 0.588 0.693 0.605
34 O 0.064 0.593 0.870
35 Mn 0.383 0.363 0.067
36 O 0.914 0.987 0.725
37 O 0.322 0.329 0.519
38 P 0.088 0.807 0.395
39 O 0.223 0.372 0.777
40 O 0.966 0.760 0.468
41 Mn 0.077 0.333 0.274
42 O 0.178 0.829 0.519
43 P 0.912 0.193 0.605
44 O 0.466 0.740 0.532
45 Mn 0.307 0.622 0.636
46 O 0.374 0.133 0.302
47 Mn 0.807 0.878 0.364
48 O 0.723 0.128 0.223
49 O 0.934 0.824 0.072
50 P 0.637 0.112 0.092
51 O 0.797 0.603 0.942
52 P 0.412 0.307 0.395

E_tot: -401.25 eV/cell
Spin magnetization: 15.00 μB/f.u.
SG: P2_1/c


No. 6
DFT (PBE+U) results for crystalline Mn3P4O14 at its relaxed geometry.

Lattice parameters (Å, degrees): 6.041 13.334 7.719 88.25 73.63 101.94
Fractional positions:
1 O 0.815 0.575 0.891
2 O 0.903 0.805 0.564
3 O 0.196 0.656 0.417
4 P 0.016 0.653 0.930
5 O 0.027 0.234 0.128
6 P 0.480 0.846 0.077
7 P 0.516 0.153 0.930
8 O 0.498 0.851 0.879
9 Mn 0.488 0.503 0.993
10 O 0.176 0.426 0.121
11 O 0.696 0.155 0.417
12 O 0.676 0.926 0.121
13 O 0.761 0.137 0.833
14 Mn 0.015 0.264 0.665
15 O 0.620 0.688 0.419
16 O 0.120 0.188 0.419
17 O 0.233 0.851 0.201
18 O 0.825 0.356 0.575
19 O 0.733 0.351 0.201
20 O 0.505 0.444 0.764
21 P 0.980 0.346 0.077
22 O 0.998 0.351 0.879
23 O 0.491 0.265 0.859
24 O 0.315 0.075 0.891
25 P 0.572 0.348 0.682
26 O 0.325 0.856 0.575
27 O 0.982 0.052 0.226
28 Mn 0.988 0.003 0.993
29 P 0.944 0.153 0.305
30 O 0.991 0.765 0.859
31 Mn 0.976 0.735 0.337
32 P 0.072 0.848 0.682
33 P 0.445 0.653 0.305
34 O 0.261 0.637 0.833
35 Mn 0.475 0.235 0.337
36 O 0.482 0.552 0.226
37 O 0.977 0.658 0.135
38 O 0.527 0.734 0.128
39 O 0.006 0.944 0.764
40 Mn 0.516 0.764 0.665
41 O 0.477 0.158 0.135
42 O 0.403 0.305 0.564

E_tot: -310.91 eV/cell
Spin magnetization: 0.00 μB/f.u.